No. 1
# LiMn2B2O6

Crystalline LiMn2B2O6 at its relaxed geometry (PBE+U, the Materials Project).

Lattice parameters (Å, degrees): 5.8623 9.2257 5.2630 91.91 111.67 105.32
Closest atoms and distances in Å follow each position.
Fractional coordinates of all 22 atoms:
1 Mn 0.2501 0.6039 0.2320  5 O 1.95-2.07
2 O 0.6989 0.9265 0.8769  1 B 1.36
3 B 0.7346 0.5321 0.2713  3 O 1.36-1.41
4 Mn 0.7499 0.3961 0.7680  5 O 1.95-2.07
5 O 0.2817 0.5981 0.6142  1 B 1.36
6 O 0.1249 0.4366 0.8976  1 B 1.41
7 O 0.6127 0.6380 0.2991  1 B 1.39
8 B 0.2654 0.4679 0.7287  3 O 1.36-1.41
9 O 0.7183 0.4019 0.3858  1 B 1.36
10 Li 0.3341 0.8114 0.7463  4 O 1.96-2.05
11 Li 0.6659 0.1886 0.2537  4 O 1.96-2.05
12 O 0.3011 0.0735 0.1231  1 B 1.36
13 O 0.3873 0.3620 0.7010  1 B 1.39
14 O 0.8347 0.0768 0.5607  1 B 1.41
15 O 0.6813 0.1825 0.8711  1 B 1.41
16 O 0.8751 0.5635 0.1024  1 B 1.41
17 O 0.3187 0.8175 0.1289  1 B 1.41
18 Mn 0.7534 0.8765 0.2722  5 O 2.07-2.28
19 B 0.7441 0.0598 0.7749  3 O 1.36-1.41
20 Mn 0.2465 0.1235 0.7278  5 O 2.07-2.28
21 O 0.1653 0.9232 0.4393  1 B 1.41
22 B 0.2559 0.9402 0.2251  3 O 1.36-1.41

Output
For the energy, the calculation gives -7.504 eV per atom. Its formation enthalpy at 0 K is -2.430 eV/atom. The calculation puts the energy above the most stable polymorph in this dataset at 0.002 eV per atom.

No. 2
# LiMn2B2O6

Crystalline LiMn2B2O6 at its relaxed geometry (PBE+U, the Materials Project).

Lattice parameters (Å, degrees): 5.3044 9.1481 11.5424 112.64 101.95 89.54
Closest atoms and distances in Å follow each position.
Fractional coordinates of all 44 atoms:
1 O 0.3163 0.0389 0.1621  1 B 1.35
2 O 0.0003 0.1500 0.3947  1 B 1.35
3 O 0.1382 0.3774 0.0927  1 B 1.42
4 O 0.1535 0.4645 0.8358  1 B 1.34
5 O 0.6033 0.8433 0.0755  1 B 1.38
6 B 0.0960 0.6164 0.8676  3 O 1.34-1.42
7 B 0.3560 0.5025 0.3728  3 O 1.34-1.43
8 O 0.7998 0.3099 0.1794  1 B 1.41
9 O 0.5111 0.3495 0.6201  1 B 1.37
10 O 0.3055 0.7850 0.1824  1 B 1.42
11 O 0.6762 0.9694 0.8409  1 B 1.34
12 O 0.4109 0.1730 0.9476  1 B 1.41
13 Li 0.1707 0.3309 0.6569  4 O 1.96-2.17
14 O 0.9264 0.8667 0.3201  1 B 1.40
15 O 0.6322 0.0385 0.4357  1 B 1.43
16 O 0.0489 0.1254 0.6688  1 B 1.41
17 Mn 0.8565 0.3524 0.3784  5 O 2.06-2.20
18 O 0.5596 0.6321 0.6707  1 B 1.41
19 B 0.4048 0.8937 0.1388  3 O 1.35-1.42
20 Mn 0.3447 0.8419 0.3866  5 O 2.03-2.23
21 Mn 0.1674 0.6388 0.6272  5 O 1.94-2.06
22 O 0.7825 0.5407 0.1256  1 B 1.35
23 O 0.6712 0.2172 0.8150  1 B 1.42
24 Mn 0.5956 0.7818 0.8818  5 O 2.02-2.26
25 O 0.3845 0.9614 0.5885  1 B 1.42
26 B 0.9024 0.4128 0.1334  3 O 1.35-1.42
27 B 0.6493 0.4790 0.6269  3 O 1.37-1.41
28 O 0.0167 0.8431 0.6204  1 B 1.36
29 O 0.8823 0.4639 0.5859  1 B 1.40
30 Li 0.6921 0.8372 0.6667  3 O 1.91-2.03
31 B 0.8565 0.0211 0.3823  3 O 1.35-1.43
32 B 0.1461 0.9745 0.6275  3 O 1.36-1.42
33 O 0.4594 0.6193 0.3500  1 B 1.34
34 O 0.1868 0.7125 0.8108  1 B 1.42
35 Mn 0.0855 0.2826 0.8860  4 O 2.02-2.18
36 Li 0.3253 0.1556 0.3482  3 O 1.92-1.99
37 B 0.5893 0.1143 0.8688  3 O 1.34-1.42
38 Mn 0.4192 0.2338 0.1313  5 O 1.97-2.07
39 O 0.1681 0.5237 0.4450  1 B 1.39
40 O 0.4329 0.3445 0.3217  1 B 1.43
41 O 0.9386 0.6936 0.9525  1 B 1.40
42 Mn 0.6552 0.1449 0.6281  5 O 1.98-2.07
43 Li 0.4526 0.5773 0.1689  3 O 1.91-2.01
44 Mn 0.9220 0.7555 0.1329  5 O 1.96-2.07

Output
For the energy, the calculation gives -7.499 eV per atom. Its formation enthalpy at 0 K is -2.425 eV/atom. The calculation puts the energy above the most stable polymorph in this dataset at 0.007 eV per atom.

No. 3
# LiMn2B2O6

Crystalline LiMn2B2O6 at its relaxed geometry (PBE+U, the Materials Project).

Lattice parameters (Å, degrees): 5.3095 5.8047 12.4406 92.60 102.30 90.40
Closest atoms and distances in Å follow each position.
Fractional coordinates of all 33 atoms:
1 Li 0.4273 0.1398 0.1744  3 O 1.90-2.07
2 O 0.6398 0.0077 0.6763  1 B 1.39
3 O 0.7440 0.0125 0.1198  1 B 1.43
4 O 0.9813 0.3256 0.3480  1 B 1.39
5 B 0.4748 0.1451 0.6054  3 O 1.38-1.41
6 O 0.2114 0.1336 0.5936  1 B 1.38
7 B 0.1459 0.8105 0.9364  3 O 1.38-1.42
8 B 0.8591 0.1858 0.0665  3 O 1.35-1.43
9 O 0.1155 0.1933 0.0719  1 B 1.35
10 O 0.8848 0.7934 0.9322  1 B 1.38
11 Mn 0.0514 0.0352 0.7166  5 O 1.96-2.14
12 O 0.4414 0.5643 0.7362  1 B 1.35
13 Mn 0.3788 0.3672 0.3804  5 O 1.95-2.09
14 O 0.2436 0.9693 0.8716  1 B 1.42
15 Li 0.9055 0.1867 0.4852  4 O 1.91-2.04
16 O 0.3604 0.0256 0.3277  1 B 1.42
17 B 0.5225 0.8639 0.3906  3 O 1.35-1.42
18 O 0.9113 0.6176 0.2136  1 B 1.39
19 O 0.6870 0.3505 0.0163  1 B 1.40
20 O 0.0802 0.3547 0.7757  1 B 1.41
21 O 0.5512 0.4315 0.2607  1 B 1.38
22 O 0.4067 0.6889 0.4386  1 B 1.40
23 O 0.0091 0.7001 0.6767  1 B 1.40
24 Li 0.5775 0.8499 0.8198  4 O 1.95-2.13
25 O 0.3249 0.6679 0.9960  1 B 1.38
26 Mn 0.7320 0.6833 0.0567  5 O 1.97-2.13
27 O 0.5820 0.2890 0.5373  1 B 1.41
28 Mn 0.6148 0.6421 0.6099  5 O 2.05-2.23
29 B 0.1846 0.5371 0.7269  3 O 1.35-1.41
30 Mn 0.2764 0.3171 0.9454  5 O 2.09-2.17
31 Mn 0.9676 0.9512 0.2866  5 O 2.03-2.27
32 B 0.8139 0.4615 0.2762  3 O 1.38-1.39
33 O 0.7811 0.8884 0.4089  1 B 1.35

Output
For the energy, the calculation gives -7.500 eV per atom. Its formation enthalpy at 0 K is -2.425 eV/atom. The calculation puts the energy above the most stable polymorph in this dataset at 0.007 eV per atom.

No. 4
# Li4Mn3B4O12

Crystalline Li4Mn3B4O12 at its relaxed geometry (PBE+U, the Materials Project).

Lattice parameters (Å, degrees): 9.1471 5.3398 10.8999 62.69 90.00 90.00
Closest atoms and distances in Å follow each position.
Fractional coordinates of all 46 atoms:
1 B 0.9250 0.5497 0.6174  3 O 1.39
2 O 0.9436 0.6249 0.1546  1 B 1.39
3 O 0.9195 0.1606 0.9196  1 B 1.41
4 O 0.4590 0.1181 0.1781  1 B 1.42
5 O 0.4278 0.6767 0.9131  1 B 1.39
6 O 0.0564 0.6249 0.6546  1 B 1.39
7 O 0.5638 0.8636 0.0689  1 B 1.38
8 O 0.0367 0.8773 0.8259  1 B 1.42
9 O 0.0805 0.1606 0.4196  1 B 1.41
10 Li 0.4293 0.5425 0.1269  4 O 1.96-2.10
11 B 0.5710 0.4487 0.3837  3 O 1.37-1.40
12 O 0.5410 0.1181 0.6781  1 B 1.42
13 Mn 0.9358 0.0154 0.1220  5 O 1.95-2.09
14 Li 0.2356 0.5039 0.3425  3 O 1.95-2.16
15 Mn 0.7542 0.9490 0.3820  5 O 2.05-2.23
16 Mn 0.2458 0.9490 0.8820  5 O 2.05-2.23
17 Li 0.2596 0.0670 0.1191  4 O 1.99-2.15
18 Li 0.9085 0.4533 0.3669  5 O 2.06-2.20
19 O 0.0787 0.3204 0.0895  1 B 1.39
20 O 0.7783 0.8629 0.8477  1 B 1.35
21 O 0.3021 0.3000 0.9019  1 B 1.37
22 B 0.4290 0.4487 0.8837  3 O 1.37-1.40
23 O 0.9633 0.8773 0.3259  1 B 1.42
24 O 0.2780 0.0927 0.6641  1 B 1.37
25 O 0.2030 0.7001 0.1072  1 B 1.39
26 B 0.9071 0.9643 0.8673  3 O 1.35-1.42
27 O 0.7220 0.0927 0.1641  1 B 1.37
28 O 0.4362 0.8636 0.5689  1 B 1.38
29 B 0.0750 0.5497 0.1174  3 O 1.39
30 O 0.6979 0.3000 0.4019  1 B 1.37
31 Mn 0.4269 0.9858 0.3751  5 O 1.91-2.06
32 Mn 0.5731 0.9858 0.8751  5 O 1.91-2.06
33 O 0.2217 0.8629 0.3477  1 B 1.35
34 B 0.5860 0.0278 0.1354  3 O 1.37-1.42
35 Li 0.5707 0.5425 0.6269  4 O 1.96-2.10
36 O 0.5722 0.6767 0.4131  1 B 1.39
37 Li 0.7404 0.0670 0.6191  4 O 1.99-2.15
38 B 0.4140 0.0278 0.6354  3 O 1.37-1.42
39 O 0.5618 0.3841 0.8417  1 B 1.40
40 Li 0.7644 0.5039 0.8425  3 O 1.95-2.16
41 Mn 0.0642 0.0154 0.6220  5 O 1.95-2.09
42 O 0.9213 0.3204 0.5895  1 B 1.39
43 Li 0.0915 0.4533 0.8669  5 O 2.06-2.20
44 O 0.4382 0.3841 0.3417  1 B 1.40
45 B 0.0929 0.9643 0.3673  3 O 1.35-1.42
46 O 0.7970 0.7001 0.6072  1 B 1.39

Output
For the energy, the calculation gives -7.168 eV per atom. Its formation enthalpy at 0 K is -2.473 eV/atom.